# 1
# Gd2CdO4

A relaxed Gd2CdO4 crystal (GGA-PBE, the Materials Project database).

Output
* final energy: -9.68 eV per atom
* energy of formation from the pure elements: -3.093 eV per atom

a b c (Å): 6.8890 6.8890 6.8890
angles (deg): 60.00 60.00 60.00
With the nearest neighbours (Å) after each atom.
Fractional coordinates of all 14 atoms:
Gd  0.1250  0.6250  0.6250  6 O 2.33
Gd  0.6250  0.6250  0.6250  6 O 2.33
O  0.3867  0.8399  0.3867  1 Cd 2.31, 3 Gd 2.33
O  0.3867  0.3867  0.3867  1 Cd 2.31, 3 Gd 2.33
O  0.8633  0.8633  0.4101  1 Cd 2.31, 3 Gd 2.33
O  0.8399  0.3867  0.3867  1 Cd 2.31, 3 Gd 2.33
O  0.4101  0.8633  0.8633  1 Cd 2.31, 3 Gd 2.33
Gd  0.6250  0.6250  0.1250  6 O 2.33
Gd  0.6250  0.1250  0.6250  6 O 2.33
Cd  0.2500  0.2500  0.2500  4 O 2.31
Cd  0.0000  0.0000  0.0000  4 O 2.31
O  0.8633  0.8633  0.8633  1 Cd 2.31, 3 Gd 2.33
O  0.8633  0.4101  0.8633  1 Cd 2.31, 3 Gd 2.33
O  0.3867  0.3867  0.8399  1 Cd 2.31, 3 Gd 2.33

***

# 2
# GdCdO3

A relaxed GdCdO3 crystal (GGA-PBE, the Materials Project database).

Output
* final energy: -7.37 eV per atom
* energy of formation from the pure elements: -1.819 eV per atom

a b c (Å): 4.1384 4.1384 4.1384
angles (deg): 90.00 90.00 90.00
With the nearest neighbours (Å) after each atom.
Fractional coordinates of all 5 atoms:
O  0.5000  0.5000  0.0000  2 Cd 2.07
Gd  0.0000  0.0000  0.0000  12 O 2.93
O  0.0000  0.5000  0.5000  2 Cd 2.07
Cd  0.5000  0.5000  0.5000  6 O 2.07
O  0.5000  0.0000  0.5000  2 Cd 2.07

***

Question: Which value of final energy does entry 1 give?
Answer: -9.68 eV per atom

***

Question: What is the formula in the second record?
Answer: GdCdO3